1.
{"formula": "BaEuYCrO6", "functional": "GGA+U", "state": "optimized geometry", "space_group": "F-43m, No. 216", "m_tot_mub_per_cell": 8.00, "formation_energy_ev_per_atom": -2.899, "volume_a3_per_atom": 14.07, "dft_energy_ev_per_atom": -8.0857, "cell": [[0.0000, 4.1281, 4.1281], [4.1281, 0.0000, 4.1281], [4.1281, 4.1281, 0.0000]], "species": ["Ba", "Eu", "Y", "Cr", "O", "O", "O", "O", "O", "O"], "frac_coords": [[0.0000, 0.0000, 0.0000], [0.5000, 0.5000, 0.5000], [0.2500, 0.2500, 0.2500], [0.7500, 0.7500, 0.7500], [0.5175, 0.5175, 0.9825], [0.5175, 0.9825, 0.5175], [0.5175, 0.9825, 0.9825], [0.9825, 0.5175, 0.5175], [0.9825, 0.5175, 0.9825], [0.9825, 0.9825, 0.5175]]}

---

2.
{"formula": "BaCrF6", "functional": "GGA+U", "state": "optimized geometry", "space_group": "R-3m, No. 166", "formation_energy_ev_per_atom": -3.311, "volume_a3_per_atom": 14.80, "dft_energy_ev_per_atom": -5.5967, "cell": [[3.7545, 2.1676, 2.4240], [-3.7545, 2.1676, 2.4240], [0.0000, -4.3353, 2.4240]], "species": ["Ba", "Cr", "F", "F", "F", "F", "F", "F"], "frac_coords": [[0.0000, 0.0000, 0.0000], [0.5000, 0.5000, 0.5000], [0.2314, 0.2314, 0.5771], [0.2314, 0.5771, 0.2314], [0.4229, 0.7686, 0.7686], [0.5771, 0.2314, 0.2314], [0.7686, 0.4229, 0.7686], [0.7686, 0.7686, 0.4229]]}

---

3.
{"formula": "Ba5Cr3F18", "functional": "GGA+U", "state": "optimized geometry", "space_group": "I4_1/a, No. 88", "m_tot_mub_per_cell": 80.00, "formation_energy_ev_per_atom": -3.691, "volume_a3_per_atom": 16.52, "dft_energy_ev_per_atom": -5.9490, "cell": [[-10.4770, 10.4770, 7.8237], [10.4770, -10.4770, 7.8237], [10.4770, 10.4770, -7.8237]], "species": ["Ba", "Ba", "Ba", "Ba", "Ba", "Ba", "Ba", "Ba", "Ba", "Ba", "Ba", "Ba", "Ba", "Ba", "Ba", "Ba", "Ba", "Ba", "Ba", "Ba", "Ba", "Ba", "Ba", "Ba", "Ba", "Ba", "Ba", "Ba", "Ba", "Ba", "Ba", "Ba", "Ba", "Ba", "Ba", "Ba", "Ba", "Ba", "Ba", "Ba", "Cr", "Cr", "Cr", "Cr", "Cr", "Cr", "Cr", "Cr", "Cr", "Cr", "Cr", "Cr", "Cr", "Cr", "Cr", "Cr", "Cr", "Cr", "Cr", "Cr", "Cr", "Cr", "Cr", "Cr", "F", "F", "F", "F", "F", "F", "F", "F", "F", "F", "F", "F", "F", "F", "F", "F", "F", "F", "F", "F", "F", "F", "F", "F", "F", "F", "F", "F", "F", "F", "F", "F", "F", "F", "F", "F", "F", "F", "F", "F", "F", "F", "F", "F", "F", "F", "F", "F", "F", "F", "F", "F", "F", "F", "F", "F", "F", "F", "F", "F", "F", "F", "F", "F", "F", "F", "F", "F", "F", "F", "F", "F", "F", "F", "F", "F", "F", "F", "F", "F", "F", "F", "F", "F", "F", "F", "F", "F", "F", "F", "F", "F", "F", "F", "F", "F", "F", "F", "F", "F", "F", "F", "F", "F", "F", "F", "F", "F", "F", "F", "F", "F", "F", "F", "F", "F", "F", "F", "F", "F", "F", "F", "F", "F", "F", "F", "F", "F", "F", "F", "F", "F", "F", "F", "F", "F", "F", "F", "F", "F", "F", "F", "F", "F"], "frac_coords": [[0.0081, 0.6996, 0.4683], [0.0184, 0.7450, 0.7558], [0.0192, 0.0478, 0.8226], [0.0398, 0.5081, 0.8085], [0.0512, 0.7140, 0.0306], [0.1835, 0.0207, 0.4694], [0.1996, 0.2313, 0.6915], [0.2143, 0.0371, 0.0463], [0.2140, 0.6835, 0.6628], [0.2374, 0.4816, 0.2266], [0.2450, 0.9892, 0.7266], [0.2687, 0.4602, 0.9683], [0.2747, 0.8034, 0.3226], [0.3034, 0.4808, 0.5287], [0.3319, 0.2857, 0.3228], [0.4522, 0.7747, 0.9713], [0.4629, 0.0092, 0.1772], [0.4793, 0.4488, 0.1628], [0.4892, 0.2626, 0.7442], [0.4908, 0.1681, 0.4537], [0.5092, 0.8319, 0.5463], [0.5108, 0.7374, 0.2558], [0.5207, 0.5512, 0.8372], [0.5371, 0.9908, 0.8228], [0.5478, 0.2253, 0.0287], [0.6681, 0.7143, 0.6772], [0.6966, 0.5192, 0.4713], [0.7253, 0.1966, 0.6774], [0.7313, 0.5398, 0.0317], [0.7550, 0.0108, 0.2734], [0.7626, 0.5184, 0.7734], [0.7860, 0.3165, 0.3372], [0.7857, 0.9629, 0.9537], [0.8004, 0.7687, 0.3085], [0.8165, 0.9793, 0.5306], [0.9488, 0.2860, 0.9694], [0.9602, 0.4919, 0.1915], [0.9808, 0.9522, 0.1774], [0.9816, 0.2550, 0.2442], [0.9919, 0.3004, 0.5317], [0.0067, 0.2567, 0.7500], [0.0443, 0.1263, 0.3978], [0.1319, 0.2070, 0.1127], [0.1465, 0.5443, 0.4180], [0.2196, 0.9696, 0.2500], [0.2285, 0.6465, 0.1022], [0.2433, 0.4933, 0.7500], [0.2930, 0.9057, 0.9248], [0.3737, 0.2715, 0.9180], [0.4057, 0.9809, 0.6127], [0.4696, 0.7196, 0.7500], [0.4809, 0.3681, 0.5752], [0.5191, 0.6319, 0.4248], [0.5304, 0.2804, 0.2500], [0.5943, 0.0191, 0.3873], [0.6263, 0.7285, 0.0820], [0.7070, 0.0943, 0.0752], [0.7567, 0.5067, 0.2500], [0.7715, 0.3535, 0.8978], [0.7804, 0.0304, 0.7500], [0.8535, 0.4557, 0.5820], [0.8681, 0.7930, 0.8873], [0.9557, 0.8737, 0.6022], [0.9933, 0.7433, 0.2500], [0.0046, 0.5677, 0.6684], [0.0063, 0.1949, 0.6304], [0.0174, 0.8882, 0.9072], [0.0231, 0.0248, 0.6426], [0.0281, 0.3812, 0.1576], [0.0486, 0.9112, 0.7233], [0.0645, 0.3759, 0.8696], [0.0677, 0.8993, 0.5631], [0.0699, 0.7025, 0.3179], [0.0823, 0.8994, 0.1060], [0.1022, 0.9347, 0.2912], [0.1033, 0.2745, 0.4312], [0.1154, 0.2480, 0.8179], [0.1177, 0.1257, 0.0008], [0.1178, 0.6195, 0.1426], [0.1195, 0.4769, 0.5017], [0.1188, 0.7764, 0.6469], [0.1196, 0.2988, 0.0660], [0.1212, 0.6347, 0.4805], [0.1241, 0.4937, 0.6886], [0.1347, 0.1542, 0.5134], [0.1407, 0.6212, 0.9866], [0.1434, 0.8110, 0.2088], [0.1459, 0.1454, 0.3502], [0.1514, 0.1205, 0.1630], [0.1569, 0.2900, 0.2327], [0.1638, 0.4954, 0.0631], [0.1721, 0.6033, 0.3288], [0.1747, 0.4514, 0.3626], [0.1860, 0.8455, 0.9729], [0.2012, 0.7672, 0.8208], [0.2025, 0.3846, 0.6326], [0.2100, 0.9427, 0.8669], [0.2255, 0.1567, 0.8288], [0.2520, 0.5699, 0.8674], [0.2672, 0.9464, 0.5660], [0.2764, 0.1295, 0.6576], [0.2869, 0.3140, 0.1595], [0.2934, 0.9763, 0.3940], [0.2952, 0.7957, 0.1498], [0.2957, 0.6459, 0.5006], [0.2961, 0.9840, 0.1711], [0.3051, 0.4355, 0.8114], [0.3110, 0.6022, 0.6675], [0.3121, 0.6747, 0.2233], [0.3129, 0.1250, 0.3289], [0.3433, 0.6721, 0.0688], [0.3458, 0.3593, 0.9805], [0.3455, 0.8726, 0.6595], [0.3546, 0.2048, 0.0006], [0.3705, 0.5281, 0.1469], [0.3726, 0.2131, 0.5271], [0.3743, 0.8751, 0.9920], [0.3750, 0.2039, 0.1879], [0.3751, 0.8831, 0.5008], [0.3795, 0.0425, 0.0309], [0.3831, 0.3823, 0.5080], [0.3882, 0.9810, 0.8709], [0.3899, 0.4826, 0.3709], [0.3993, 0.3362, 0.8316], [0.3994, 0.7934, 0.8171], [0.4112, 0.1879, 0.8626], [0.4242, 0.6569, 0.3669], [0.4347, 0.6434, 0.8325], [0.4427, 0.0758, 0.7327], [0.4464, 0.3804, 0.6792], [0.4575, 0.9884, 0.3370], [0.4752, 0.6178, 0.9983], [0.4763, 0.5823, 0.6829], [0.4810, 0.1101, 0.5928], [0.4840, 0.8129, 0.6879], [0.4884, 0.6514, 0.5309], [0.5115, 0.3486, 0.4691], [0.5160, 0.1871, 0.3121], [0.5190, 0.8899, 0.4072], [0.5237, 0.4177, 0.3171], [0.5248, 0.3822, 0.0017], [0.5425, 0.0116, 0.6630], [0.5536, 0.6196, 0.3208], [0.5573, 0.9242, 0.2673], [0.5653, 0.3566, 0.1675], [0.5758, 0.3431, 0.6331], [0.5888, 0.8121, 0.1374], [0.6006, 0.2066, 0.1829], [0.6007, 0.6638, 0.1684], [0.6101, 0.5174, 0.6291], [0.6118, 0.0190, 0.1291], [0.6169, 0.6177, 0.4920], [0.6205, 0.9575, 0.9691], [0.6249, 0.1169, 0.4992], [0.6250, 0.7961, 0.8121], [0.6257, 0.1249, 0.0080], [0.6274, 0.7869, 0.4729], [0.6295, 0.4719, 0.8531], [0.6454, 0.7952, 0.9994], [0.6545, 0.1274, 0.3405], [0.6542, 0.6407, 0.0195], [0.6567, 0.3279, 0.9312], [0.6871, 0.8750, 0.6711], [0.6879, 0.3253, 0.7767], [0.6890, 0.3978, 0.3325], [0.6949, 0.5645, 0.1886], [0.7039, 0.0160, 0.8289], [0.7043, 0.3541, 0.4994], [0.7048, 0.2043, 0.8502], [0.7066, 0.0237, 0.6060], [0.7131, 0.6860, 0.8405], [0.7236, 0.8705, 0.3424], [0.7328, 0.0536, 0.4340], [0.7480, 0.4301, 0.1326], [0.7745, 0.8433, 0.1712], [0.7900, 0.0573, 0.1331], [0.7975, 0.6154, 0.3674], [0.7988, 0.2328, 0.1792], [0.8140, 0.1545, 0.0271], [0.8253, 0.5486, 0.6374], [0.8279, 0.3967, 0.6712], [0.8362, 0.5046, 0.9369], [0.8431, 0.7100, 0.7673], [0.8486, 0.8795, 0.8370], [0.8541, 0.8546, 0.6498], [0.8566, 0.1890, 0.7912], [0.8593, 0.3788, 0.0134], [0.8653, 0.8458, 0.4866], [0.8759, 0.5063, 0.3114], [0.8788, 0.3653, 0.5195], [0.8804, 0.7012, 0.9340], [0.8812, 0.2236, 0.3531], [0.8805, 0.5231, 0.4983], [0.8822, 0.3805, 0.8574], [0.8823, 0.8743, 0.9992], [0.8846, 0.7520, 0.1821], [0.8967, 0.7255, 0.5688], [0.8978, 0.0653, 0.7088], [0.9177, 0.1006, 0.8940], [0.9301, 0.2975, 0.6821], [0.9323, 0.1007, 0.4369], [0.9355, 0.6241, 0.1304], [0.9514, 0.0888, 0.2767], [0.9719, 0.6188, 0.8424], [0.9769, 0.9752, 0.3574], [0.9826, 0.1118, 0.0928], [0.9937, 0.8051, 0.3696], [0.9954, 0.4323, 0.3316]]}

---

4.
{"formula": "Ba2Cr2F11", "functional": "GGA+U", "state": "optimized geometry", "space_group": "P3_2, No. 145", "m_tot_mub_per_cell": 15.11, "formation_energy_ev_per_atom": -3.274, "volume_a3_per_atom": 16.60, "dft_energy_ev_per_atom": -5.6155, "cell": [[7.7736, 0.0000, 0.0000], [-3.8868, 6.7321, 0.0000], [0.0000, 0.0000, 14.2753]], "species": ["Ba", "Ba", "Ba", "Ba", "Ba", "Ba", "Cr", "Cr", "Cr", "Cr", "Cr", "Cr", "F", "F", "F", "F", "F", "F", "F", "F", "F", "F", "F", "F", "F", "F", "F", "F", "F", "F", "F", "F", "F", "F", "F", "F", "F", "F", "F", "F", "F", "F", "F", "F", "F"], "frac_coords": [[0.1546, 0.0606, 0.0000], [0.4991, 0.1255, 0.4773], [0.6264, 0.5009, 0.8106], [0.8745, 0.3736, 0.1439], [0.9060, 0.8454, 0.3333], [0.9394, 0.0940, 0.6667], [0.1823, 0.4431, 0.3962], [0.2608, 0.8177, 0.7296], [0.3520, 0.3291, 0.2226], [0.5569, 0.7392, 0.0629], [0.6709, 0.0230, 0.8893], [0.9770, 0.6480, 0.5560], [0.0534, 0.5913, 0.4323], [0.0565, 0.3323, 0.0132], [0.0685, 0.9205, 0.5204], [0.0795, 0.1479, 0.1871], [0.1672, 0.3543, 0.5133], [0.1871, 0.8328, 0.8467], [0.2331, 0.5773, 0.7421], [0.2355, 0.5048, 0.2616], [0.2693, 0.7645, 0.5950], [0.2716, 0.2620, 0.3597], [0.2758, 0.9435, 0.3465], [0.2779, 0.2572, 0.8469], [0.3279, 0.0694, 0.6863], [0.3441, 0.7669, 0.0755], [0.4087, 0.4621, 0.0990], [0.4227, 0.6559, 0.4088], [0.4371, 0.1675, 0.1621], [0.4952, 0.7307, 0.9283], [0.5255, 0.1387, 0.9405], [0.5379, 0.9466, 0.7656], [0.6132, 0.4745, 0.2738], [0.6457, 0.8129, 0.1800], [0.6677, 0.7242, 0.6798], [0.7304, 0.5629, 0.4955], [0.7380, 0.0096, 0.0264], [0.7415, 0.6721, 0.0196], [0.7428, 0.0206, 0.5136], [0.8325, 0.2696, 0.8288], [0.8521, 0.9315, 0.8537], [0.8613, 0.3868, 0.6072], [0.9306, 0.2585, 0.3530], [0.9794, 0.7221, 0.1803], [0.9904, 0.7284, 0.6931]]}

---

5.
{"formula": "Ba2CrF6", "functional": "GGA+U", "state": "optimized geometry", "space_group": "Cmce, No. 64", "m_tot_mub_per_cell": 8.00, "formation_energy_ev_per_atom": -3.674, "volume_a3_per_atom": 16.68, "dft_energy_ev_per_atom": -5.9197, "cell": [[8.0611, -3.0633, 0.0000], [8.0611, 3.0633, 0.0000], [0.0000, 0.0000, 6.0790]], "species": ["Ba", "Ba", "Ba", "Ba", "Cr", "Cr", "F", "F", "F", "F", "F", "F", "F", "F", "F", "F", "F", "F"], "frac_coords": [[0.1540, 0.1540, 0.0000], [0.3460, 0.3460, 0.5000], [0.6540, 0.6540, 0.5000], [0.8460, 0.8460, 0.0000], [0.0000, 0.0000, 0.5000], [0.5000, 0.5000, 0.0000], [0.0009, 0.4991, 0.2500], [0.1252, 0.1252, 0.5000], [0.2371, 0.7629, 0.7307], [0.2629, 0.7371, 0.2307], [0.3748, 0.3748, 0.0000], [0.4991, 0.0009, 0.7500], [0.5009, 0.9991, 0.2500], [0.6252, 0.6252, 0.0000], [0.7371, 0.2629, 0.7693], [0.7629, 0.2371, 0.2693], [0.8748, 0.8748, 0.5000], [0.9991, 0.5009, 0.7500]]}

---

6.
{"formula": "BaMgCrF7", "functional": "GGA+U", "state": "optimized geometry", "space_group": "P2_1/c, No. 14", "m_tot_mub_per_cell": 12.01, "formation_energy_ev_per_atom": -3.641, "volume_a3_per_atom": 13.60, "dft_energy_ev_per_atom": -5.7752, "cell": [[5.6286, 0.0000, 0.0000], [0.0000, 9.9571, 0.0000], [-0.5307, 0.0000, 9.7060]], "species": ["Ba", "Ba", "Ba", "Ba", "Mg", "Mg", "Mg", "Mg", "Cr", "Cr", "Cr", "Cr", "F", "F", "F", "F", "F", "F", "F", "F", "F", "F", "F", "F", "F", "F", "F", "F", "F", "F", "F", "F", "F", "F", "F", "F", "F", "F", "F", "F"], "frac_coords": [[0.2371, 0.1775, 0.0009], [0.2371, 0.3225, 0.5009], [0.7629, 0.6775, 0.4991], [0.7629, 0.8225, 0.9991], [0.1947, 0.6045, 0.8108], [0.1947, 0.8955, 0.3108], [0.8053, 0.1045, 0.6892], [0.8053, 0.3955, 0.1892], [0.3062, 0.6127, 0.1869], [0.3062, 0.8873, 0.6869], [0.6938, 0.1127, 0.3131], [0.6938, 0.3873, 0.8131], [0.0281, 0.7116, 0.2495], [0.0281, 0.7884, 0.7495], [0.1137, 0.5425, 0.6270], [0.1137, 0.9575, 0.1270], [0.1307, 0.0488, 0.6315], [0.1307, 0.4512, 0.1315], [0.2405, 0.6896, 0.0011], [0.2405, 0.8104, 0.5011], [0.3880, 0.5430, 0.3665], [0.3880, 0.9570, 0.8665], [0.3885, 0.0517, 0.3742], [0.3885, 0.4483, 0.8742], [0.4722, 0.7213, 0.7475], [0.4722, 0.7787, 0.2475], [0.5278, 0.2213, 0.7525], [0.5278, 0.2787, 0.2525], [0.6115, 0.5517, 0.1258], [0.6115, 0.9483, 0.6258], [0.6120, 0.0430, 0.1335], [0.6120, 0.4570, 0.6335], [0.7595, 0.1896, 0.4989], [0.7595, 0.3104, 0.9989], [0.8693, 0.5488, 0.8685], [0.8693, 0.9512, 0.3685], [0.8863, 0.0425, 0.8730], [0.8863, 0.4575, 0.3730], [0.9719, 0.2116, 0.2505], [0.9719, 0.2884, 0.7505]]}